Record 1
First-principles (GGA-PBE) data for crystalline NaAlSi2H2O7 at its relaxed geometry, as listed in the Materials Project.

Properties
As for the space group: C2/c (15). The calculated volume comes out at 12.921 Å³ per atom. The value obtained for the total energy is -6.756 eV/atom.

Cell lengths 12.0485, 12.0485, 13.7473 Å; angles 55.14, 55.14, 70.54 degrees
Fractional coordinates of all 104 atoms:
Al (0.0237, 0.2166, 0.2254)
Al (0.9763, 0.7834, 0.7746)
Al (0.5389, 0.7261, 0.0344)
Al (0.7261, 0.5389, 0.5344)
Al (0.2166, 0.0237, 0.7254)
Al (0.4611, 0.2739, 0.9656)
Al (0.2739, 0.4611, 0.4656)
Al (0.7834, 0.9763, 0.2746)
Na (0.9098, 0.4328, 0.3294)
Na (0.4261, 0.5739, 0.7500)
Na (0.0902, 0.5672, 0.6706)
Na (0.4328, 0.9098, 0.8294)
Na (0.9323, 0.0677, 0.7500)
Na (0.5739, 0.4261, 0.2500)
Na (0.0677, 0.9323, 0.2500)
Na (0.5672, 0.0902, 0.1706)
O (0.3953, 0.1238, 0.1224)
O (0.1989, 0.8605, 0.8684)
O (0.1395, 0.8011, 0.6316)
O (0.3935, 0.8299, 0.5395)
O (0.8605, 0.1989, 0.3684)
O (0.0865, 0.3621, 0.1765)
O (0.2350, 0.5051, 0.1509)
O (0.9915, 0.7899, 0.8905)
O (0.7244, 0.4489, 0.2945)
O (0.4098, 0.3497, 0.4759)
O (0.0183, 0.7368, 0.4743)
O (0.8011, 0.1395, 0.1316)
O (0.3621, 0.0865, 0.6765)
O (0.0085, 0.2101, 0.1095)
O (0.6994, 0.3919, 0.5499)
O (0.9135, 0.6379, 0.8235)
O (0.7070, 0.1312, 0.7098)
O (0.1238, 0.3953, 0.6224)
O (0.8688, 0.2930, 0.7902)
O (0.7899, 0.9915, 0.3905)
O (0.1701, 0.6065, 0.9605)
O (0.8762, 0.6047, 0.3776)
O (0.5511, 0.2756, 0.2055)
O (0.6047, 0.8762, 0.8776)
O (0.7204, 0.9835, 0.6148)
O (0.7650, 0.4949, 0.8491)
O (0.2930, 0.8688, 0.2902)
O (0.4489, 0.7244, 0.7945)
O (0.7368, 0.0183, 0.9743)
O (0.4949, 0.7650, 0.3491)
O (0.3497, 0.4098, 0.9759)
O (0.9249, 0.8752, 0.2236)
O (0.5902, 0.6503, 0.5241)
O (0.3919, 0.6994, 0.0499)
O (0.9835, 0.7204, 0.1148)
O (0.5067, 0.2815, 0.8165)
O (0.6065, 0.1701, 0.4605)
O (0.6503, 0.5902, 0.0241)
O (0.0751, 0.1248, 0.7764)
O (0.2815, 0.5067, 0.3165)
O (0.2632, 0.9817, 0.0257)
O (0.8752, 0.9249, 0.7236)
O (0.7185, 0.4933, 0.6835)
O (0.9817, 0.2632, 0.5257)
O (0.6081, 0.3006, 0.9501)
O (0.1248, 0.0751, 0.2764)
O (0.8299, 0.3935, 0.0395)
O (0.1312, 0.7070, 0.2098)
O (0.2796, 0.0165, 0.3852)
O (0.2756, 0.5511, 0.7055)
O (0.4933, 0.7185, 0.1835)
O (0.3006, 0.6081, 0.4501)
O (0.0165, 0.2796, 0.8852)
O (0.5051, 0.2350, 0.6509)
O (0.2101, 0.0085, 0.6095)
O (0.6379, 0.9135, 0.3235)
H (0.2370, 0.8928, 0.0559)
H (0.1072, 0.7630, 0.4441)
H (0.3320, 0.5348, 0.6286)
H (0.0507, 0.2159, 0.4768)
H (0.7841, 0.9493, 0.0232)
H (0.6680, 0.4652, 0.3714)
H (0.8928, 0.2370, 0.5559)
H (0.2470, 0.6472, 0.6677)
H (0.5348, 0.3320, 0.1286)
H (0.7630, 0.1072, 0.9441)
H (0.6472, 0.2470, 0.1677)
H (0.9493, 0.7841, 0.5232)
H (0.4652, 0.6680, 0.8714)
H (0.3528, 0.7530, 0.8323)
H (0.2159, 0.0507, 0.9768)
H (0.7530, 0.3528, 0.3323)
Si (0.0262, 0.2725, 0.7641)
Si (0.5343, 0.7872, 0.4330)
Si (0.7275, 0.9738, 0.7359)
Si (0.7872, 0.5343, 0.9330)
Si (0.3988, 0.7376, 0.3154)
Si (0.2725, 0.0262, 0.2641)
Si (0.0844, 0.7463, 0.9573)
Si (0.9156, 0.2537, 0.0427)
Si (0.2537, 0.9156, 0.5427)
Si (0.7463, 0.0844, 0.4573)
Si (0.2624, 0.6012, 0.1846)
Si (0.4657, 0.2128, 0.5670)
Si (0.6012, 0.2624, 0.6846)
Si (0.9738, 0.7275, 0.2359)
Si (0.7376, 0.3988, 0.8154)
Si (0.2128, 0.4657, 0.0670)


Record 2
First-principles (GGA-PBE) data for crystalline NdAlH6 at its relaxed geometry, as listed in the Materials Project.

Properties
As for the space group: R-3m (166). The calculated volume comes out at 9.269 Å³ per atom. The value obtained for the total energy is -3.886 eV/atom.

Cell lengths 4.2534, 4.2534, 4.2534 Å; angles 98.46, 98.46, 98.46 degrees
Fractional coordinates of all 8 atoms:
H (0.2981, 0.2981, 0.9384)
H (0.7019, 0.7019, 0.0616)
H (0.2981, 0.9384, 0.2981)
H (0.7019, 0.0616, 0.7019)
H (0.9384, 0.2981, 0.2981)
H (0.0616, 0.7019, 0.7019)
Al (0.0000, 0.0000, 0.0000)
Nd (0.5000, 0.5000, 0.5000)


Record 3
First-principles (GGA-PBE) data for crystalline Zr3Al3Ni3H2 at its relaxed geometry, as listed in the Materials Project.

Properties
As for the space group: P-62m (189). The calculated volume comes out at 13.348 Å³ per atom. The value obtained for the total energy is -6.161 eV/atom.

Cell lengths 6.7570, 6.7570, 3.7134 Å; angles 90.00, 90.00, 120.00 degrees
Fractional coordinates of all 11 atoms:
Ni (0.3333, 0.6667, 0.0000)
Ni (0.6667, 0.3333, 0.0000)
Ni (0.0000, 0.0000, 0.5000)
Zr (0.0000, 0.5939, 0.5000)
Zr (0.5939, 0.0000, 0.5000)
Zr (0.4061, 0.4061, 0.5000)
H (0.3333, 0.6667, 0.5000)
H (0.6667, 0.3333, 0.5000)
Al (0.2470, 0.0000, 0.0000)
Al (0.0000, 0.2470, 0.0000)
Al (0.7530, 0.7530, 0.0000)


Record 4
First-principles (GGA-PBE) data for crystalline Zr6Al2NiH10 at its relaxed geometry, as listed in the Materials Project.

Properties
As for the space group: P-62c (190). The calculated volume comes out at 10.749 Å³ per atom. The value obtained for the total energy is -5.627 eV/atom.

Cell lengths 8.0808, 8.0808, 7.2231 Å; angles 90.00, 90.00, 120.00 degrees
Fractional coordinates of all 38 atoms:
H (0.0000, 0.0000, 0.5000)
H (0.2392, 0.1215, 0.7500)
H (0.0000, 0.2796, 0.0000)
H (0.7608, 0.8823, 0.2500)
H (0.8823, 0.7608, 0.7500)
H (0.7093, 0.1143, 0.2500)
H (0.8857, 0.5951, 0.2500)
H (0.8785, 0.1177, 0.7500)
H (0.1143, 0.7093, 0.7500)
H (0.0000, 0.0000, 0.0000)
H (0.7204, 0.7204, 0.5000)
H (0.1177, 0.8785, 0.2500)
H (0.2796, 0.0000, 0.5000)
H (0.7204, 0.7204, 0.0000)
H (0.4049, 0.2907, 0.2500)
H (0.2796, 0.0000, 0.0000)
H (0.5951, 0.8857, 0.7500)
H (0.2907, 0.4049, 0.7500)
H (0.1215, 0.2392, 0.2500)
H (0.0000, 0.2796, 0.5000)
Zr (0.2624, 0.2624, 0.0000)
Zr (0.0000, 0.7376, 0.0000)
Zr (0.7376, 0.0000, 0.0000)
Zr (0.7376, 0.0000, 0.5000)
Zr (0.4218, 0.0466, 0.2500)
Zr (0.2624, 0.2624, 0.5000)
Zr (0.0000, 0.7376, 0.5000)
Zr (0.6248, 0.5782, 0.2500)
Zr (0.5782, 0.6248, 0.7500)
Zr (0.0466, 0.4218, 0.7500)
Zr (0.3752, 0.9534, 0.7500)
Zr (0.9534, 0.3752, 0.2500)
Al (0.3333, 0.6667, 0.0513)
Al (0.6667, 0.3333, 0.5513)
Al (0.6667, 0.3333, 0.9487)
Al (0.3333, 0.6667, 0.4487)
Ni (0.0000, 0.0000, 0.2500)
Ni (0.0000, 0.0000, 0.7500)


Record 5
First-principles (GGA-PBE) data for crystalline AlH3O3 at its relaxed geometry, as listed in the Materials Project.

Properties
As for the space group: P-1 (2). The calculated volume comes out at 7.764 Å³ per atom. The value obtained for the total energy is -5.847 eV/atom. The value obtained for the energy relative to the lowest polymorph listed for this composition is 0.09 eV per formula unit.

Cell lengths 5.0396, 5.0941, 5.3596 Å; angles 105.96, 98.89, 119.00 degrees
Fractional coordinates of all 14 atoms:
O (0.9582, 0.4757, 0.2159)
O (0.7739, 0.9035, 0.7898)
O (0.4151, 0.2666, 0.7844)
O (0.0418, 0.5243, 0.7841)
O (0.5849, 0.7334, 0.2156)
O (0.2261, 0.0965, 0.2102)
H (0.0891, 0.6309, 0.4068)
H (0.3373, 0.2180, 0.5859)
H (0.4140, 0.0861, 0.2022)
H (0.5860, 0.9139, 0.7978)
H (0.9109, 0.3691, 0.5932)
H (0.6627, 0.7820, 0.4141)
Al (0.8285, 0.6660, 0.9978)
Al (0.1715, 0.3340, 0.0022)


Record 6
First-principles (GGA-PBE) data for crystalline AlH3O3 at its relaxed geometry, as listed in the Materials Project.

Properties
As for the space group: P1 (1). The calculated volume comes out at 7.718 Å³ per atom. The value obtained for the total energy is -5.853 eV/atom. The value obtained for the energy relative to the lowest polymorph listed for this composition is 0.05 eV per formula unit.

Cell lengths 5.0243, 8.8607, 9.7096 Å; angles 90.98, 90.05, 90.06 degrees
Fractional coordinates of all 56 atoms:
H (0.1693, 0.8091, 0.7919)
H (0.6115, 0.9997, 0.7030)
H (0.0544, 0.9214, 0.6044)
H (0.3747, 0.5926, 0.3742)
H (0.3894, 0.0073, 0.2049)
H (0.1344, 0.0829, 0.8778)
H (0.4617, 0.4123, 0.1031)
H (0.5165, 0.6053, 0.6064)
H (0.3419, 0.3147, 0.2931)
H (0.1294, 0.5157, 0.7026)
H (0.9994, 0.0996, 0.1123)
H (0.8196, 0.9511, 0.8815)
H (0.9068, 0.4946, 0.2027)
H (0.6710, 0.6808, 0.7960)
H (0.2837, 0.7040, 0.2052)
H (0.3391, 0.5172, 0.8919)
H (0.7258, 0.2958, 0.7942)
H (0.1767, 0.0276, 0.3929)
H (0.9002, 0.8924, 0.1299)
H (0.6141, 0.4032, 0.6298)
H (0.7817, 0.7951, 0.2939)
H (0.8410, 0.1910, 0.2972)
H (0.6916, 0.4625, 0.3817)
H (0.2276, 0.2050, 0.7074)
O (0.7882, 0.8046, 0.1141)
O (0.3533, 0.3198, 0.1043)
O (0.8550, 0.1837, 0.3986)
O (0.7268, 0.3155, 0.6157)
O (0.6555, 0.6841, 0.6080)
O (0.2937, 0.6919, 0.3853)
O (0.7156, 0.3034, 0.8957)
O (0.6575, 0.6716, 0.8972)
O (0.6338, 0.9842, 0.8908)
O (0.2898, 0.6909, 0.1038)
O (0.3703, 0.0109, 0.3882)
O (0.8698, 0.4903, 0.1028)
O (0.8590, 0.1772, 0.1096)
O (0.1514, 0.8217, 0.8932)
O (0.8783, 0.4944, 0.3904)
O (0.3585, 0.0076, 0.1035)
O (0.2257, 0.2014, 0.6054)
O (0.1612, 0.8285, 0.6029)
O (0.3612, 0.3318, 0.3940)
O (0.1587, 0.5185, 0.6014)
O (0.2193, 0.1814, 0.8876)
O (0.7980, 0.8135, 0.3943)
O (0.6462, 0.9992, 0.6029)
O (0.1452, 0.5008, 0.8871)
Al (0.0269, 0.3335, 0.9971)
Al (0.5335, 0.1615, 0.9995)
Al (0.4743, 0.8288, 0.0001)
Al (0.9778, 0.6591, 0.9995)
Al (0.0400, 0.3392, 0.5011)
Al (0.9803, 0.6715, 0.4977)
Al (0.5363, 0.1695, 0.5011)
Al (0.4878, 0.8428, 0.4967)


Going through the records in order, we get E (MP2020) values of -741.125 -32.162 -68.130 -217.416 -85.974 -344.242 eV per cell.